PdSeO4 | PBE | relaxed

CIF file:
```
data_PdSeO4
_chemical_formula_sum 'Pd4 Se4 O16'
_space_group_name_H-M_alt 'C 1 2/c 1'
_space_group_IT_number 15
_cell_length_a 7.966
_cell_length_b 6.443
_cell_length_c 7.910
_cell_angle_alpha 90.00
_cell_angle_beta 98.60
_cell_angle_gamma 90.00
loop_
_space_group_symop_operation_xyz
'x,y,z'
'-x,-y,-z'
'-x,y,-z+1/2'
'x,-y,z+1/2'
'x+1/2,y+1/2,z'
'-x+1/2,-y+1/2,-z'
'-x+1/2,y+1/2,-z+1/2'
'x+1/2,-y+1/2,z+1/2'
loop_
_atom_site_label
_atom_site_fract_x
_atom_site_fract_y
_atom_site_fract_z
Pd1 0.250 0.250 0.000
Se1 0.000 0.069 0.250
O1 0.019 0.219 0.077
O2 0.183 0.069 0.790
```

Properties
Calculated formation energy in meV per atom: -941
MP2020-corrected energy in eV/atom: -5.685
Total DFT energy (no corrections) in eV/atom: -5.227